PBE-GGA K5H3S4O18, relaxed; energy of formation = -5475.4 kJ/mol of formula units; raw total energy = -331.444 eV per cell
1.0
2.6775 -6.0253 5.8947
8.2394 5.1682 -2.3164
-2.0882 6.9283 8.0303
K H S O
10 6 8 36
direct
0.7378 0.2623 0.8742 K
0.7622 0.7377 0.3742 K
0.2547 0.7371 0.1248 K
0.2453 0.2629 0.6248 K
0.4952 0.9978 0.5014 K
0.0048 0.0022 0.0014 K
0.0453 0.6879 0.7294 K
0.4547 0.3121 0.2294 K
0.9650 0.3141 0.2722 K
0.5350 0.6859 0.7722 K
0.8746 0.2135 0.5919 H
0.6254 0.7865 0.0919 H
0.1255 0.7887 0.4052 H
0.3745 0.2113 0.9052 H
0.4974 0.0050 0.0167 H
0.0026 0.9950 0.5167 H
0.3441 0.9569 0.8301 S
0.1559 0.0431 0.3301 S
0.6614 0.0446 0.1760 S
0.8386 0.9554 0.6760 S
0.7019 0.4223 0.5474 S
0.7981 0.5777 0.0474 S
0.2982 0.5787 0.4527 S
0.2018 0.4213 0.9527 S
0.5009 0.9759 0.8954 O
0.9991 0.0241 0.3954 O
0.4962 0.0289 0.1165 O
0.0038 0.9711 0.6165 O
0.8753 0.4070 0.6015 O
0.6247 0.5930 0.1015 O
0.1255 0.5947 0.3987 O
0.3745 0.4053 0.8987 O
0.3204 0.0976 0.8050 O
0.1796 0.9024 0.3050 O
0.6796 0.9025 0.1964 O
0.8204 0.0975 0.6964 O
0.9220 0.2953 0.5361 O
0.5780 0.7047 0.0361 O
0.0797 0.7072 0.4634 O
0.4203 0.2928 0.9634 O
0.7002 0.5492 0.6139 O
0.7998 0.4508 0.1139 O
0.2989 0.4515 0.3862 O
0.2011 0.5485 0.8862 O
0.3498 0.8821 0.7134 O
0.1502 0.1179 0.2134 O
0.6582 0.1187 0.2922 O
0.8418 0.8813 0.7922 O
0.7166 0.4377 0.4135 O
0.7834 0.5623 0.9135 O
0.2834 0.5629 0.5867 O
0.2166 0.4371 0.0867 O
0.2189 0.8778 0.9128 O
0.2811 0.1222 0.4128 O
0.7786 0.1218 0.0877 O
0.7214 0.8782 0.5877 O
0.5863 0.2979 0.5889 O
0.9137 0.7021 0.0889 O
0.4149 0.7026 0.4117 O
0.0851 0.2974 0.9117 O